Arrangement A

First-principles (GGA+U) data for crystalline Fe21HO32 at its relaxed geometry, as listed in the Materials Project database.

Calculated values
The space group is Cmc2_1 (36).

Lattice parameters (Å, degrees): 8.186 8.186 16.398 90.00 90.00 89.94
Fractional positions:
Fe 0.000 0.000 0.001
Fe 0.000 0.000 0.501
Fe 0.000 0.498 0.750
Fe 0.000 0.502 0.250
Fe 0.016 0.984 0.758
Fe 0.125 0.372 0.564
Fe 0.125 0.628 0.436
Fe 0.126 0.372 0.064
Fe 0.126 0.628 0.936
Fe 0.247 0.753 0.126
Fe 0.250 0.251 0.375
Fe 0.250 0.750 0.624
Fe 0.251 0.250 0.875
Fe 0.371 0.373 0.187
Fe 0.371 0.629 0.312
Fe 0.372 0.125 0.064
Fe 0.372 0.126 0.564
Fe 0.372 0.874 0.936
Fe 0.372 0.875 0.436
Fe 0.373 0.371 0.687
Fe 0.373 0.627 0.812
Fe 0.498 0.000 0.250
Fe 0.499 0.501 0.500
Fe 0.501 0.499 0.000
Fe 0.502 0.000 0.750
Fe 0.627 0.373 0.312
Fe 0.627 0.629 0.187
Fe 0.628 0.125 0.936
Fe 0.628 0.126 0.436
Fe 0.628 0.874 0.064
Fe 0.628 0.875 0.564
Fe 0.629 0.371 0.812
Fe 0.629 0.627 0.687
Fe 0.749 0.750 0.375
Fe 0.750 0.250 0.124
Fe 0.750 0.749 0.875
Fe 0.753 0.247 0.626
Fe 0.874 0.372 0.436
Fe 0.874 0.628 0.564
Fe 0.875 0.372 0.936
Fe 0.875 0.628 0.064
Fe 0.984 0.016 0.258
H 0.122 0.878 0.811
H 0.878 0.122 0.311
O 0.111 0.387 0.443
O 0.111 0.612 0.556
O 0.111 0.613 0.056
O 0.112 0.388 0.944
O 0.121 0.140 0.810
O 0.121 0.879 0.680
O 0.126 0.874 0.187
O 0.140 0.121 0.310
O 0.143 0.385 0.178
O 0.143 0.617 0.822
O 0.143 0.857 0.941
O 0.144 0.145 0.057
O 0.144 0.615 0.322
O 0.144 0.856 0.442
O 0.145 0.144 0.557
O 0.145 0.386 0.678
O 0.364 0.367 0.567
O 0.366 0.634 0.432
O 0.366 0.634 0.933
O 0.367 0.364 0.067
O 0.383 0.857 0.822
O 0.385 0.143 0.678
O 0.385 0.856 0.322
O 0.386 0.145 0.178
O 0.387 0.111 0.943
O 0.387 0.388 0.305
O 0.387 0.613 0.194
O 0.387 0.613 0.694
O 0.387 0.889 0.056
O 0.388 0.112 0.444
O 0.388 0.387 0.805
O 0.388 0.889 0.556
O 0.612 0.111 0.056
O 0.612 0.613 0.305
O 0.612 0.888 0.944
O 0.613 0.111 0.556
O 0.613 0.387 0.194
O 0.613 0.387 0.694
O 0.613 0.612 0.805
O 0.613 0.889 0.443
O 0.614 0.855 0.678
O 0.615 0.144 0.822
O 0.615 0.857 0.178
O 0.617 0.143 0.322
O 0.633 0.636 0.567
O 0.634 0.366 0.433
O 0.634 0.366 0.932
O 0.636 0.633 0.067
O 0.855 0.614 0.178
O 0.855 0.856 0.057
O 0.856 0.144 0.942
O 0.856 0.385 0.822
O 0.856 0.855 0.557
O 0.857 0.143 0.441
O 0.857 0.383 0.322
O 0.857 0.615 0.678
O 0.860 0.879 0.810
O 0.874 0.126 0.687
O 0.879 0.121 0.180
O 0.879 0.860 0.310
O 0.888 0.612 0.444
O 0.889 0.387 0.556
O 0.889 0.388 0.056
O 0.889 0.613 0.943

***

Arrangement B

First-principles (GGA+U) data for crystalline Fe21HO32 at its relaxed geometry, as listed in the Materials Project database.

Calculated values
The space group is R3m (160).

Lattice parameters (Å, degrees): 8.531 8.531 8.531 89.30 89.30 89.30
Fractional positions:
Fe 0.034 0.034 0.034
Fe 0.042 0.042 0.522
Fe 0.042 0.522 0.042
Fe 0.157 0.674 0.674
Fe 0.165 0.417 0.417
Fe 0.291 0.291 0.799
Fe 0.291 0.799 0.291
Fe 0.406 0.672 0.921
Fe 0.406 0.921 0.672
Fe 0.417 0.165 0.417
Fe 0.417 0.417 0.165
Fe 0.522 0.042 0.042
Fe 0.543 0.543 0.543
Fe 0.672 0.406 0.921
Fe 0.672 0.921 0.406
Fe 0.674 0.157 0.674
Fe 0.674 0.674 0.157
Fe 0.790 0.790 0.790
Fe 0.799 0.291 0.291
Fe 0.921 0.406 0.672
Fe 0.921 0.672 0.406
H 0.230 0.230 0.230
O 0.160 0.423 0.655
O 0.160 0.655 0.423
O 0.168 0.168 0.917
O 0.168 0.917 0.168
O 0.176 0.641 0.904
O 0.176 0.904 0.641
O 0.183 0.183 0.400
O 0.183 0.400 0.183
O 0.400 0.183 0.183
O 0.407 0.673 0.673
O 0.413 0.413 0.413
O 0.423 0.160 0.655
O 0.423 0.655 0.160
O 0.424 0.901 0.901
O 0.428 0.428 0.927
O 0.428 0.927 0.428
O 0.641 0.176 0.904
O 0.641 0.904 0.176
O 0.653 0.653 0.923
O 0.653 0.923 0.653
O 0.655 0.160 0.423
O 0.655 0.423 0.160
O 0.673 0.407 0.673
O 0.673 0.673 0.407
O 0.901 0.424 0.901
O 0.901 0.901 0.424
O 0.904 0.176 0.641
O 0.904 0.641 0.176
O 0.909 0.909 0.909
O 0.917 0.168 0.168
O 0.923 0.653 0.653
O 0.927 0.428 0.428

***

Arrangement C

First-principles (GGA+U) data for crystalline Fe21HO32 at its relaxed geometry, as listed in the Materials Project database.

Calculated values
The space group is Cmc2_1 (36).

Lattice parameters (Å, degrees): 8.564 8.564 17.074 90.00 90.00 90.25
Fractional positions:
Fe 0.001 0.499 0.750
Fe 0.001 0.999 0.500
Fe 0.128 0.872 0.188
Fe 0.132 0.133 0.810
Fe 0.132 0.619 0.067
Fe 0.132 0.868 0.691
Fe 0.133 0.132 0.310
Fe 0.133 0.380 0.434
Fe 0.133 0.382 0.934
Fe 0.133 0.621 0.566
Fe 0.244 0.756 0.878
Fe 0.249 0.250 0.123
Fe 0.249 0.751 0.374
Fe 0.250 0.249 0.623
Fe 0.379 0.867 0.566
Fe 0.380 0.133 0.934
Fe 0.381 0.868 0.067
Fe 0.382 0.133 0.434
Fe 0.480 0.520 0.745
Fe 0.499 0.001 0.250
Fe 0.499 0.501 0.003
Fe 0.501 0.499 0.503
Fe 0.501 0.999 0.750
Fe 0.520 0.480 0.245
Fe 0.618 0.867 0.934
Fe 0.619 0.132 0.567
Fe 0.620 0.867 0.434
Fe 0.621 0.133 0.066
Fe 0.750 0.751 0.123
Fe 0.751 0.249 0.874
Fe 0.751 0.750 0.623
Fe 0.756 0.244 0.378
Fe 0.867 0.379 0.066
Fe 0.867 0.618 0.434
Fe 0.867 0.620 0.934
Fe 0.867 0.868 0.810
Fe 0.868 0.132 0.191
Fe 0.868 0.381 0.567
Fe 0.868 0.867 0.310
Fe 0.872 0.128 0.688
Fe 0.999 0.001 0.000
Fe 0.999 0.501 0.250
H 0.328 0.672 0.243
H 0.672 0.328 0.743
O 0.110 0.362 0.319
O 0.110 0.890 0.810
O 0.111 0.617 0.944
O 0.111 0.640 0.681
O 0.112 0.363 0.819
O 0.112 0.381 0.056
O 0.112 0.384 0.558
O 0.113 0.115 0.691
O 0.115 0.113 0.191
O 0.115 0.640 0.182
O 0.117 0.883 0.309
O 0.119 0.619 0.441
O 0.131 0.869 0.066
O 0.132 0.133 0.934
O 0.133 0.132 0.434
O 0.133 0.867 0.566
O 0.360 0.640 0.055
O 0.360 0.885 0.182
O 0.360 0.889 0.681
O 0.361 0.363 0.444
O 0.362 0.110 0.819
O 0.362 0.638 0.555
O 0.363 0.112 0.319
O 0.363 0.361 0.944
O 0.365 0.635 0.295
O 0.368 0.632 0.820
O 0.370 0.374 0.683
O 0.374 0.370 0.183
O 0.381 0.112 0.556
O 0.381 0.881 0.441
O 0.383 0.889 0.944
O 0.384 0.112 0.058
O 0.616 0.888 0.558
O 0.617 0.111 0.444
O 0.619 0.119 0.941
O 0.619 0.888 0.056
O 0.626 0.630 0.683
O 0.630 0.626 0.183
O 0.632 0.368 0.320
O 0.635 0.365 0.795
O 0.637 0.639 0.444
O 0.637 0.888 0.819
O 0.638 0.362 0.055
O 0.638 0.890 0.319
O 0.639 0.637 0.944
O 0.640 0.111 0.181
O 0.640 0.115 0.682
O 0.640 0.360 0.555
O 0.867 0.133 0.066
O 0.867 0.868 0.934
O 0.868 0.867 0.434
O 0.869 0.131 0.566
O 0.881 0.381 0.941
O 0.883 0.117 0.809
O 0.885 0.360 0.682
O 0.885 0.887 0.691
O 0.887 0.885 0.191
O 0.888 0.616 0.058
O 0.888 0.619 0.556
O 0.888 0.637 0.319
O 0.889 0.360 0.181
O 0.889 0.383 0.444
O 0.890 0.110 0.310
O 0.890 0.638 0.819

***

Energy above the most stable structure, in meV per atom: arrangement A 216; arrangement B 38; arrangement C 0

***

Arrangement A

First-principles (GGA+U) data for crystalline FeP2H8O10 at its relaxed geometry, as listed in the Materials Project database.

Calculated values
The space group is P2_1/c (14).

Lattice parameters (Å, degrees): 6.066 9.748 8.751 90.00 125.24 90.00
Fractional positions:
Fe 0.000 0.000 0.000
Fe 0.000 0.500 0.500
P 0.476 0.191 0.664
P 0.476 0.309 0.164
P 0.524 0.691 0.836
P 0.524 0.809 0.336
H 0.087 0.573 0.794
H 0.087 0.927 0.294
H 0.197 0.063 0.694
H 0.197 0.437 0.194
H 0.260 0.125 0.962
H 0.260 0.375 0.462
H 0.367 0.725 0.013
H 0.367 0.775 0.513
H 0.633 0.225 0.487
H 0.633 0.275 0.987
H 0.740 0.625 0.538
H 0.740 0.875 0.038
H 0.803 0.563 0.806
H 0.803 0.937 0.306
H 0.913 0.073 0.706
H 0.913 0.427 0.206
O 0.090 0.040 0.815
O 0.090 0.460 0.315
O 0.232 0.094 0.597
O 0.232 0.406 0.097
O 0.308 0.676 0.627
O 0.308 0.824 0.127
O 0.378 0.157 0.112
O 0.378 0.343 0.612
O 0.416 0.649 0.956
O 0.416 0.851 0.456
O 0.584 0.149 0.544
O 0.584 0.351 0.044
O 0.622 0.657 0.388
O 0.622 0.843 0.888
O 0.692 0.176 0.873
O 0.692 0.324 0.373
O 0.768 0.594 0.903
O 0.768 0.906 0.403
O 0.910 0.540 0.685
O 0.910 0.960 0.185

***

Arrangement B

First-principles (GGA+U) data for crystalline FeP2H8O10 at its relaxed geometry, as listed in the Materials Project database.

Calculated values
The space group is P2_1/c (14).

Lattice parameters (Å, degrees): 5.405 10.097 8.762 90.00 123.95 90.00
Fractional positions:
Fe 0.000 0.000 0.000
Fe 0.000 0.500 0.500
P 0.092 0.217 0.338
P 0.092 0.283 0.838
P 0.908 0.717 0.162
P 0.908 0.783 0.662
H 0.118 0.723 0.009
H 0.118 0.777 0.509
H 0.403 0.079 0.829
H 0.403 0.421 0.329
H 0.408 0.546 0.226
H 0.408 0.954 0.726
H 0.441 0.107 0.592
H 0.441 0.393 0.092
H 0.559 0.607 0.908
H 0.559 0.893 0.408
H 0.592 0.046 0.274
H 0.592 0.454 0.774
H 0.597 0.579 0.671
H 0.597 0.921 0.171
H 0.882 0.223 0.491
H 0.882 0.277 0.991
O 0.021 0.674 0.358
O 0.021 0.826 0.858
O 0.143 0.134 0.872
O 0.143 0.366 0.372
O 0.144 0.670 0.118
O 0.144 0.830 0.618
O 0.391 0.138 0.468
O 0.391 0.362 0.968
O 0.479 0.537 0.715
O 0.479 0.963 0.215
O 0.521 0.037 0.785
O 0.521 0.463 0.285
O 0.609 0.638 0.032
O 0.609 0.862 0.532
O 0.856 0.170 0.382
O 0.856 0.330 0.882
O 0.857 0.634 0.628
O 0.857 0.866 0.128
O 0.979 0.174 0.142
O 0.979 0.326 0.642

***

Energy above the most stable structure, in meV per atom: arrangement A 105; arrangement B 0

***

Arrangement A

First-principles (GGA+U) data for crystalline Fe3H9S2O15 at its relaxed geometry, as listed in the Materials Project database.

Calculated values
The space group is P1 (1).

Lattice parameters (Å, degrees): 7.149 7.165 7.172 62.99 62.30 63.19
Fractional positions:
Fe 0.000 0.000 0.000
Fe 0.002 0.506 0.488
Fe 0.497 0.008 0.493
H 0.114 0.029 0.401
H 0.283 0.702 0.184
H 0.298 0.727 0.798
H 0.309 0.311 0.209
H 0.696 0.705 0.776
H 0.700 0.283 0.194
H 0.714 0.306 0.808
H 0.910 0.909 0.551
H 0.917 0.119 0.617
S 0.302 0.316 0.802
S 0.686 0.698 0.190
O 0.120 0.741 0.231
O 0.162 0.178 0.996
O 0.162 0.499 0.666
O 0.258 0.265 0.372
O 0.267 0.885 0.763
O 0.388 0.405 0.884
O 0.491 0.178 0.663
O 0.495 0.836 0.329
O 0.602 0.608 0.107
O 0.724 0.128 0.218
O 0.752 0.754 0.612
O 0.823 0.515 0.328
O 0.827 0.835 0.998
O 0.877 0.252 0.744
O 0.961 0.040 0.501

***

Arrangement B

First-principles (GGA+U) data for crystalline Fe3H9S2O15 at its relaxed geometry, as listed in the Materials Project database.

Calculated values
The space group is R3m (160).

Lattice parameters (Å, degrees): 7.212 7.212 7.212 62.23 62.23 62.23
Fractional positions:
Fe 0.169 0.169 0.662
Fe 0.169 0.662 0.169
Fe 0.662 0.169 0.169
H 0.060 0.060 0.269
H 0.060 0.269 0.060
H 0.269 0.060 0.060
H 0.453 0.856 0.856
H 0.467 0.467 0.886
H 0.467 0.886 0.467
H 0.856 0.453 0.856
H 0.856 0.856 0.453
H 0.886 0.467 0.467
S 0.474 0.474 0.474
S 0.861 0.861 0.861
O 0.042 0.439 0.439
O 0.157 0.157 0.157
O 0.290 0.913 0.913
O 0.336 0.336 0.663
O 0.336 0.663 0.336
O 0.439 0.042 0.439
O 0.439 0.439 0.042
O 0.559 0.559 0.559
O 0.663 0.336 0.336
O 0.671 0.999 0.999
O 0.776 0.776 0.776
O 0.913 0.290 0.913
O 0.913 0.913 0.290
O 0.999 0.671 0.999
O 0.999 0.999 0.671

***

Energy above the most stable structure, in meV per atom: arrangement A 0; arrangement B 6